Entry 1:
VASP calculation (r²SCAN) on crystalline P3RuO9 at its relaxed geometry.

Geometry as CIF:
```
data_P3RuO9
_cell_length_a 5.0465
_cell_length_b 6.9957
_cell_length_c 10.3417
_cell_angle_alpha 98.71
_cell_angle_beta 92.42
_cell_angle_gamma 92.33
_symmetry_space_group_name_H-M 'P -1'
_symmetry_Int_Tables_number 2
loop_
_symmetry_equiv_pos_as_xyz
'x,y,z'
'-x,-y,-z'
loop_
_atom_site_label
_atom_site_type_symbol
_atom_site_fract_x
_atom_site_fract_y
_atom_site_fract_z
_atom_site_occupancy
P1 P 0.0029 0.1701 0.3607 1
P2 P 0.0274 0.4577 0.1813 1
P3 P 0.2594 0.1870 0.7713 1
Ru1 Ru 0.5000 0.0000 0.5000 1
Ru2 Ru 0.5000 0.5000 0.0000 1
O1 O 0.0128 0.3208 0.7683 1
O2 O 0.0353 0.6313 0.6903 1
O3 O 0.1173 0.9797 0.7622 1
O4 O 0.1596 0.8341 0.5231 1
O5 O 0.1661 0.6210 0.9280 1
O6 O 0.2954 0.1442 0.3757 1
O7 O 0.3162 0.4328 0.1587 1
O8 O 0.4053 0.2299 0.9020 1
O9 O 0.4156 0.2013 0.6533 1
```

---

Entry 2:
VASP calculation (r²SCAN) on crystalline PrAg2Ge2 at its relaxed geometry.

Geometry as CIF:
```
data_PrAg2Ge2
_cell_length_a 4.3045
_cell_length_b 4.3045
_cell_length_c 11.0798
_cell_angle_alpha 90.00
_cell_angle_beta 90.00
_cell_angle_gamma 90.00
_symmetry_space_group_name_H-M 'I 4/m m m'
_symmetry_Int_Tables_number 139
_symmetry_space_group_name_Hall '-I 4 2'
loop_
_atom_site_label
_atom_site_type_symbol
_atom_site_fract_x
_atom_site_fract_y
_atom_site_fract_z
_atom_site_occupancy
Pr1 Pr 0.0000 0.0000 0.0000 1
Ag1 Ag 0.0000 0.5000 0.2500 1
Ge1 Ge 0.0000 0.0000 0.3899 1
```

---

Entry 3:
VASP calculation (r²SCAN) on crystalline Co9Cu3O16 at its relaxed geometry.

Geometry as CIF:
```
data_Co9Cu3O16
_cell_length_a 7.7647
_cell_length_b 8.1676
_cell_length_c 8.1589
_cell_angle_alpha 90.00
_cell_angle_beta 90.00
_cell_angle_gamma 90.00
_symmetry_space_group_name_H-M 'C 2 2 2'
_symmetry_Int_Tables_number 21
loop_
_symmetry_equiv_pos_as_xyz
'x,y,z'
'-x,-y,z'
'x,-y,-z'
'-x,y,-z'
'x+1/2,y+1/2,z'
'-x+1/2,-y+1/2,z'
'x+1/2,-y+1/2,-z'
'-x+1/2,y+1/2,-z'
loop_
_atom_site_label
_atom_site_type_symbol
_atom_site_fract_x
_atom_site_fract_y
_atom_site_fract_z
_atom_site_occupancy
Co1 Co 0.0000 0.0000 0.0000 1
Co2 Co 0.1244 0.3747 0.1247 1
Co3 Co 0.1256 0.1245 0.3750 1
Cu1 Cu 0.0000 0.5000 0.5000 1
Cu2 Cu 0.2500 0.2500 0.7490 1
O1 O 0.1192 0.1074 0.6068 1
O2 O 0.1195 0.3931 0.8922 1
O3 O 0.1307 0.3567 0.3568 1
O4 O 0.1325 0.1398 0.1397 1
```

---

Entry 4:
VASP calculation (r²SCAN) on crystalline SrSO4 at its relaxed geometry.

Geometry as CIF:
```
data_SrSO4
_cell_length_a 8.3558
_cell_length_b 5.3428
_cell_length_c 6.8705
_cell_angle_alpha 90.00
_cell_angle_beta 90.00
_cell_angle_gamma 90.00
_symmetry_space_group_name_H-M 'P n m a'
_symmetry_Int_Tables_number 62
loop_
_symmetry_equiv_pos_as_xyz
'x,y,z'
'-x,-y,-z'
'-x+1/2,-y,z+1/2'
'x+1/2,y,-z+1/2'
'x+1/2,-y+1/2,-z+1/2'
'-x+1/2,y+1/2,z+1/2'
'-x,y+1/2,-z'
'x,-y+1/2,z'
loop_
_atom_site_label
_atom_site_type_symbol
_atom_site_fract_x
_atom_site_fract_y
_atom_site_fract_z
_atom_site_occupancy
Sr1 Sr 0.1836 0.2500 0.1571 1
S1 S 0.0623 0.2500 0.6842 1
O1 O 0.0780 0.0251 0.8103 1
O2 O 0.0950 0.7500 0.4081 1
O3 O 0.1936 0.2500 0.5415 1
```

---

Entry 5:
VASP calculation (r²SCAN) on crystalline Cs4IrO4 at its relaxed geometry.

Geometry as CIF:
```
data_Cs4IrO4
_cell_length_a 10.4311
_cell_length_b 6.7422
_cell_length_c 6.7249
_cell_angle_alpha 90.00
_cell_angle_beta 108.68
_cell_angle_gamma 90.00
_symmetry_space_group_name_H-M 'C 1 2/m 1'
_symmetry_Int_Tables_number 12
loop_
_symmetry_equiv_pos_as_xyz
'x,y,z'
'-x,-y,-z'
'-x,y,-z'
'x,-y,z'
'x+1/2,y+1/2,z'
'-x+1/2,-y+1/2,-z'
'-x+1/2,y+1/2,-z'
'x+1/2,-y+1/2,z'
loop_
_atom_site_label
_atom_site_type_symbol
_atom_site_fract_x
_atom_site_fract_y
_atom_site_fract_z
_atom_site_occupancy
Cs1 Cs 0.1159 0.0000 0.3428 1
Cs2 Cs 0.1901 0.5000 0.0899 1
Ir1 Ir 0.0000 0.5000 0.5000 1
O1 O 0.1066 0.2980 0.6819 1
```

---

Entry 6:
VASP calculation (r²SCAN) on crystalline Li7Si2 at its relaxed geometry.

Geometry as CIF:
```
data_Li7Si2
_cell_length_a 8.0055
_cell_length_b 14.8465
_cell_length_c 4.4609
_cell_angle_alpha 90.00
_cell_angle_beta 90.00
_cell_angle_gamma 90.00
_symmetry_space_group_name_H-M 'P b a m'
_symmetry_Int_Tables_number 55
loop_
_symmetry_equiv_pos_as_xyz
'x,y,z'
'-x,-y,-z'
'-x,-y,z'
'x,y,-z'
'x+1/2,-y+1/2,-z'
'-x+1/2,y+1/2,z'
'-x+1/2,y+1/2,-z'
'x+1/2,-y+1/2,z'
loop_
_atom_site_label
_atom_site_type_symbol
_atom_site_fract_x
_atom_site_fract_y
_atom_site_fract_z
_atom_site_occupancy
Li1 Li 0.0000 0.0000 0.0000 1
Li2 Li 0.0000 0.5000 0.5000 1
Li3 Li 0.0858 0.2425 0.5000 1
Li4 Li 0.1150 0.8110 0.0000 1
Li5 Li 0.1200 0.6439 0.5000 1
Li6 Li 0.1747 0.5134 0.0000 1
Li7 Li 0.2031 0.1653 0.0000 1
Li8 Li 0.2339 0.8983 0.5000 1
Si1 Si 0.0589 0.3465 0.0000 1
Si2 Si 0.1005 0.0643 0.5000 1
```

---

The records above give, respectively, ΔH_f (0 K) values of -2.03; -0.47; -1.23; -2.43; -1.33; -0.24 eV per atom.
The records above give, respectively, size of the total moment values of 0.0766; 0.0000; 0.2139; 0.0000; 0.3333; 0.0041 μB per atom.